# PdN PBE optimized geometry
# - energy relative to the lowest polymorph listed for this composition (meV/atom) = 209
# - spin magnetization (μB per cell) = 0.0
# - formation energy (eV per atom) = 0.8725
data_PdN
_chemical_formula_sum 'Pd4 N4'
_cell_length_a 4.7463
_cell_length_b 4.7463
_cell_length_c 4.7463
_cell_angle_alpha 90.00
_cell_angle_beta 90.00
_cell_angle_gamma 90.00
_symmetry_space_group_name_H-M 'F -4 3 m'
_symmetry_Int_Tables_number 216
_symmetry_space_group_name_Hall 'F -4 2 3'
loop_
_atom_site_label
_atom_site_type_symbol
_atom_site_fract_x
_atom_site_fract_y
_atom_site_fract_z
Pd1 Pd 0.0000 0.0000 0.0000
N1 N 0.2500 0.2500 0.2500

# PdN PBE optimized geometry
# - energy relative to the lowest polymorph listed for this composition (meV/atom) = 476
# - spin magnetization (μB per cell) = 0.0
# - formation energy (eV per atom) = 1.1391
data_PdN
_chemical_formula_sum 'Pd1 N1'
_cell_length_a 3.0167
_cell_length_b 3.0167
_cell_length_c 2.8792
_cell_angle_alpha 90.00
_cell_angle_beta 90.00
_cell_angle_gamma 120.00
_symmetry_space_group_name_H-M 'P -6 m 2'
_symmetry_Int_Tables_number 187
_symmetry_space_group_name_Hall 'P -6 2'
loop_
_atom_site_label
_atom_site_type_symbol
_atom_site_fract_x
_atom_site_fract_y
_atom_site_fract_z
Pd1 Pd 0.0000 0.0000 0.0000
N1 N 0.3333 0.6667 0.5000

# PdN PBE optimized geometry
# - energy relative to the lowest polymorph listed for this composition (meV/atom) = 211
# - spin magnetization (μB per cell) = 0.0
# - formation energy (eV per atom) = 0.8741
data_PdN
_chemical_formula_sum 'Pd2 N2'
_cell_length_a 3.2361
_cell_length_b 3.2361
_cell_length_c 5.8591
_cell_angle_alpha 90.00
_cell_angle_beta 90.00
_cell_angle_gamma 120.00
_symmetry_space_group_name_H-M 'P 63 m c'
_symmetry_Int_Tables_number 186
_symmetry_space_group_name_Hall 'P 6c -2c'
loop_
_atom_site_label
_atom_site_type_symbol
_atom_site_fract_x
_atom_site_fract_y
_atom_site_fract_z
Pd1 Pd 0.3333 0.6667 0.0000
N1 N 0.3333 0.6667 0.6399